A) Li3V2P3O12 PBE with a Hubbard U optimized geometry; volume = 11.41 Å³ per atom; symmetry = C2/c (15)
1.0
7.186 -4.429 0.000
7.186 4.429 0.000
-4.756 0.000 7.168
Li V P O
6 4 6 24
Direct
0.000 0.500 0.500
0.160 0.236 0.141
0.236 0.160 0.641
0.500 0.000 0.000
0.764 0.840 0.359
0.840 0.764 0.859
0.143 0.635 0.352
0.365 0.857 0.148
0.635 0.143 0.852
0.857 0.365 0.648
0.044 0.956 0.750
0.255 0.446 0.966
0.446 0.255 0.466
0.554 0.745 0.534
0.745 0.554 0.034
0.956 0.044 0.250
0.016 0.124 0.702
0.054 0.771 0.581
0.098 0.440 0.770
0.124 0.016 0.202
0.187 0.455 0.110
0.229 0.946 0.919
0.251 0.406 0.429
0.319 0.615 0.031
0.385 0.681 0.469
0.406 0.251 0.929
0.440 0.098 0.270
0.455 0.187 0.610
0.545 0.813 0.390
0.560 0.902 0.730
0.594 0.749 0.071
0.615 0.319 0.531
0.681 0.385 0.969
0.749 0.594 0.571
0.771 0.054 0.081
0.813 0.545 0.890
0.876 0.984 0.798
0.902 0.560 0.230
0.946 0.229 0.419
0.984 0.876 0.298



B) Li3V2P3O12 PBE with a Hubbard U optimized geometry; volume = 11.78 Å³ per atom; symmetry = C2 (5)
1.0
7.422 -4.416 0.000
7.422 4.416 0.000
-4.769 0.000 7.189
Li V P O
6 4 6 24
Direct
0.000 0.000 0.000
0.103 0.493 0.096
0.352 0.145 0.278
0.507 0.897 0.904
0.695 0.305 0.500
0.855 0.648 0.722
0.211 0.006 0.392
0.495 0.296 0.104
0.704 0.505 0.896
0.994 0.789 0.608
0.098 0.188 0.794
0.303 0.697 0.000
0.391 0.609 0.500
0.600 0.101 0.701
0.812 0.902 0.206
0.899 0.400 0.299
0.051 0.030 0.780
0.081 0.230 0.299
0.110 0.718 0.846
0.138 0.149 0.623
0.233 0.643 0.556
0.260 0.217 0.981
0.282 0.890 0.154
0.336 0.539 0.061
0.357 0.767 0.444
0.414 0.415 0.341
0.442 0.079 0.513
0.461 0.664 0.939
0.541 0.138 0.862
0.585 0.586 0.659
0.619 0.062 0.183
0.654 0.262 0.730
0.738 0.346 0.270
0.770 0.919 0.701
0.783 0.740 0.019
0.851 0.862 0.377
0.862 0.459 0.138
0.921 0.558 0.487
0.938 0.381 0.817
0.970 0.949 0.220



C) Li3V2P3O12 PBE with a Hubbard U optimized geometry; volume = 11.81 Å³ per atom; symmetry = P2_1/c (14)
1.0
8.755 0.000 0.000
0.000 8.742 0.000
-8.658 0.000 12.342
Li V P O
12 8 12 48
Direct
0.052 0.215 0.325
0.052 0.285 0.825
0.342 0.596 0.293
0.342 0.904 0.793
0.390 0.228 0.221
0.390 0.272 0.721
0.610 0.728 0.279
0.610 0.772 0.779
0.658 0.096 0.207
0.658 0.404 0.707
0.948 0.715 0.175
0.948 0.785 0.675
0.132 0.537 0.388
0.132 0.963 0.888
0.363 0.531 0.108
0.363 0.969 0.608
0.637 0.031 0.392
0.637 0.469 0.892
0.868 0.037 0.112
0.868 0.463 0.612
0.039 0.106 0.646
0.039 0.394 0.146
0.251 0.608 0.647
0.251 0.892 0.147
0.461 0.247 0.996
0.461 0.253 0.496
0.539 0.747 0.504
0.539 0.753 0.004
0.749 0.108 0.853
0.749 0.392 0.353
0.961 0.606 0.854
0.961 0.894 0.354
0.016 0.235 0.182
0.016 0.265 0.682
0.084 0.518 0.234
0.084 0.982 0.734
0.098 0.596 0.668
0.098 0.904 0.168
0.133 0.552 0.961
0.133 0.948 0.461
0.174 0.578 0.530
0.174 0.922 0.030
0.215 0.112 0.644
0.215 0.388 0.144
0.270 0.164 0.929
0.270 0.336 0.429
0.331 0.724 0.181
0.331 0.776 0.681
0.376 0.634 0.431
0.376 0.866 0.931
0.416 0.006 0.221
0.416 0.494 0.721
0.459 0.150 0.579
0.459 0.350 0.079
0.480 0.170 0.413
0.480 0.330 0.913
0.520 0.670 0.087
0.520 0.830 0.587
0.541 0.650 0.921
0.541 0.850 0.421
0.584 0.506 0.279
0.584 0.994 0.779
0.624 0.134 0.069
0.624 0.366 0.569
0.669 0.224 0.319
0.669 0.276 0.819
0.730 0.664 0.571
0.730 0.836 0.071
0.785 0.612 0.856
0.785 0.888 0.356
0.826 0.078 0.970
0.826 0.422 0.470
0.867 0.052 0.539
0.867 0.448 0.039
0.902 0.096 0.832
0.902 0.404 0.332
0.916 0.018 0.266
0.916 0.482 0.766
0.984 0.735 0.318
0.984 0.765 0.818



Energies, relative to the best one, in meV per atom: A) 28; B) 37; C) 0.



A) LiMn2OF5 PBE with a Hubbard U optimized geometry; volume = 11.34 Å³ per atom; symmetry = Cc (9)
1.0
3.290 -3.281 0.000
3.290 3.281 0.000
-0.790 0.000 18.913
Li Mn O F
4 8 4 20
Direct
0.005 0.995 0.500
0.501 0.515 0.750
0.515 0.501 0.250
0.995 0.005 0.000
0.021 0.030 0.832
0.027 0.991 0.161
0.030 0.021 0.332
0.482 0.524 0.083
0.487 0.494 0.912
0.494 0.487 0.412
0.524 0.482 0.583
0.991 0.027 0.661
0.198 0.805 0.086
0.304 0.310 0.835
0.310 0.304 0.335
0.805 0.198 0.586
0.193 0.832 0.739
0.207 0.813 0.911
0.214 0.800 0.415
0.218 0.809 0.251
0.226 0.780 0.582
0.292 0.318 0.000
0.303 0.307 0.665
0.307 0.303 0.165
0.318 0.292 0.500
0.684 0.699 0.990
0.699 0.684 0.490
0.707 0.710 0.162
0.710 0.707 0.662
0.723 0.733 0.831
0.733 0.723 0.331
0.780 0.226 0.082
0.800 0.214 0.915
0.809 0.218 0.751
0.813 0.207 0.411
0.832 0.193 0.239



B) LiMn2OF5 PBE with a Hubbard U optimized geometry; volume = 11.63 Å³ per atom; symmetry = Pc (7)
1.0
5.120 0.000 0.000
0.000 4.732 0.000
-0.438 0.000 17.287
Li Mn O F
4 8 4 20
Direct
0.000 0.239 0.000
0.000 0.761 0.500
0.505 0.260 0.229
0.505 0.740 0.729
0.011 0.249 0.665
0.011 0.751 0.165
0.018 0.260 0.329
0.018 0.740 0.829
0.479 0.294 0.901
0.479 0.706 0.401
0.503 0.268 0.556
0.503 0.732 0.056
0.321 0.488 0.326
0.321 0.512 0.826
0.338 0.494 0.983
0.338 0.506 0.483
0.175 0.036 0.243
0.175 0.964 0.743
0.184 0.039 0.568
0.184 0.961 0.068
0.189 0.036 0.904
0.189 0.964 0.404
0.338 0.487 0.651
0.338 0.513 0.151
0.659 0.037 0.975
0.659 0.963 0.475
0.663 0.039 0.638
0.663 0.961 0.138
0.706 0.021 0.320
0.706 0.979 0.820
0.816 0.487 0.901
0.816 0.513 0.401
0.823 0.482 0.566
0.823 0.518 0.066
0.836 0.477 0.240
0.836 0.523 0.740



Energies, relative to the best one, in meV per atom: A) 0; B) 39.



A) MgV4O8 PBE with a Hubbard U optimized geometry; volume = 10.94 Å³ per atom; symmetry = Pm (6)
1.0
2.951 0.000 0.000
0.000 9.903 0.000
-1.463 0.000 4.867
Mg V O
1 4 8
Direct
0.000 0.000 0.000
0.473 0.327 0.950
0.473 0.673 0.950
0.741 0.179 0.484
0.741 0.821 0.484
0.099 0.246 0.204
0.099 0.754 0.204
0.382 0.135 0.766
0.382 0.865 0.766
0.534 0.500 0.073
0.645 0.000 0.294
0.850 0.350 0.703
0.850 0.650 0.703



B) MgV4O8 PBE with a Hubbard U optimized geometry; volume = 12.13 Å³ per atom; symmetry = Cm (8)
1.0
7.231 -1.506 0.000
7.231 1.506 0.000
-6.161 0.000 7.241
Mg V O
1 4 8
Direct
0.000 0.000 0.000
0.187 0.187 0.997
0.489 0.489 0.632
0.703 0.703 0.366
0.978 0.978 0.288
0.116 0.116 0.756
0.161 0.161 0.445
0.187 0.187 0.207
0.473 0.473 0.416
0.495 0.495 0.142
0.545 0.545 0.898
0.794 0.794 0.083
0.865 0.865 0.546



C) MgV4O8 PBE with a Hubbard U optimized geometry; volume = 11.82 Å³ per atom; symmetry = Imm2 (44)
1.0
-3.029 3.084 4.113
3.029 -3.084 4.113
3.029 3.084 -4.113
Mg V O
1 4 8
Direct
0.000 0.000 0.000
0.365 0.618 0.746
0.384 0.138 0.754
0.384 0.630 0.246
0.872 0.618 0.254
0.138 0.410 0.272
0.138 0.865 0.728
0.144 0.867 0.277
0.171 0.380 0.791
0.588 0.380 0.209
0.590 0.867 0.723
0.604 0.380 0.776
0.604 0.829 0.224



Energies, relative to the best one, in meV per atom: A) 66; B) 14; C) 0.



A) Li2Mn3CuO8 PBE with a Hubbard U optimized geometry; volume = 10.27 Å³ per atom; symmetry = R3m (160)
1.0
2.918 1.685 4.877
-2.918 1.685 4.877
0.000 -3.369 4.877
Li Mn Cu O
2 3 1 8
Direct
0.000 0.000 0.000
0.377 0.377 0.377
0.380 0.380 0.886
0.380 0.886 0.380
0.886 0.380 0.380
0.764 0.764 0.764
0.131 0.131 0.591
0.131 0.591 0.131
0.143 0.143 0.143
0.170 0.626 0.626
0.591 0.131 0.131
0.620 0.620 0.620
0.626 0.170 0.626
0.626 0.626 0.170



B) Li2Mn3CuO8 PBE with a Hubbard U optimized geometry; volume = 10.12 Å³ per atom; symmetry = Cc (9)
1.0
2.911 -5.038 0.000
2.911 5.038 0.000
-0.445 0.000 9.663
Li Mn Cu O
4 6 2 16
Direct
0.000 0.000 0.000
0.000 0.000 0.500
0.311 0.644 0.106
0.644 0.311 0.606
0.154 0.817 0.781
0.155 0.326 0.782
0.326 0.155 0.282
0.651 0.819 0.781
0.817 0.154 0.281
0.819 0.651 0.281
0.323 0.656 0.503
0.656 0.323 0.003
0.008 0.493 0.672
0.151 0.835 0.391
0.152 0.312 0.392
0.312 0.152 0.892
0.329 0.662 0.888
0.459 0.496 0.666
0.459 0.941 0.661
0.493 0.008 0.172
0.496 0.459 0.166
0.662 0.329 0.388
0.679 0.836 0.389
0.835 0.151 0.891
0.836 0.679 0.889
0.941 0.459 0.161
0.981 0.981 0.184
0.981 0.981 0.684



Energies, relative to the best one, in meV per atom: A) 0; B) 12.